1.
This record from the Materials Project describes a geometry-optimized TbFe2Si2 structure. The functional is r2SCAN.

The structure in CIF format:
```
data_TbFe2Si2
_chemical_formula_sum 'Tb2 Fe4 Si4'
_symmetry_space_group_name_H-M 'I 4/m m m'
_symmetry_Int_Tables_number 139
_symmetry_space_group_name_Hall '-I 4 2'
_cell_length_a 3.953
_cell_length_b 3.953
_cell_length_c 9.442
_cell_angle_alpha 90.00
_cell_angle_beta 90.00
_cell_angle_gamma 90.00
loop_
_atom_site_label
_atom_site_type_symbol
_atom_site_fract_x
_atom_site_fract_y
_atom_site_fract_z
_atom_site_occupancy
Tb1 Tb 0.000 0.000 0.000 1
Fe1 Fe 0.000 0.500 0.250 1
Si1 Si 0.000 0.000 0.363 1
```

Calculated values
crystal system: tetragonal

=====

2.
This record from the Materials Project describes a geometry-optimized ThFe2Si2 structure. The functional is r2SCAN.

The structure in CIF format:
```
data_ThFe2Si2
_chemical_formula_sum 'Th2 Fe4 Si4'
_symmetry_space_group_name_H-M 'I 4/m m m'
_symmetry_Int_Tables_number 139
_symmetry_space_group_name_Hall '-I 4 2'
_cell_length_a 4.034
_cell_length_b 4.034
_cell_length_c 9.542
_cell_angle_alpha 90.00
_cell_angle_beta 90.00
_cell_angle_gamma 90.00
loop_
_atom_site_label
_atom_site_type_symbol
_atom_site_fract_x
_atom_site_fract_y
_atom_site_fract_z
_atom_site_occupancy
Th1 Th 0.000 0.000 0.000 1
Fe1 Fe 0.000 0.500 0.250 1
Si1 Si 0.000 0.000 0.360 1
```

Calculated values
crystal system: tetragonal

=====

Number 1: ΔH_f (0 K) -11.524 kcal/mol of atoms. Number 2: ΔH_f (0 K) -11.873 kcal/mol of atoms.